## Li6Zn3P4S16 (PBE)

Data for a relaxed Li6Zn3P4S16 crystal.

ΔH_f (0 K): -1005.8 meV per atom
raw total energy: -4.282 eV/atom
ΔE to the lowest computed polymorph: 0 meV/atom
energy with MP2020 corrections: -4.56 eV per atom

Unit cell a=9.244 b=5.796 c=23.151 alpha=89.94 beta=90.00 gamma=90.00
Fractional positions:
Li 0.252 0.248 0.560
Li 0.752 0.752 0.440
Li 0.999 0.749 0.813
Li 0.000 0.750 0.063
Li 0.500 0.250 0.937
Li 0.003 0.750 0.312
Li 0.499 0.251 0.187
Li 0.998 0.751 0.562
Li 0.498 0.249 0.438
Li 0.503 0.250 0.688
Li 0.004 0.252 0.437
Li 0.504 0.748 0.563
Zn 0.994 0.246 0.688
Zn 0.000 0.250 0.937
Zn 0.500 0.750 0.813
Zn 0.000 0.250 0.187
Zn 0.500 0.750 0.063
Zn 0.494 0.754 0.312
P 0.251 0.758 0.688
P 0.250 0.750 0.937
P 0.750 0.250 0.813
P 0.250 0.750 0.187
P 0.750 0.250 0.063
P 0.249 0.743 0.438
P 0.751 0.242 0.312
P 0.749 0.257 0.562
S 0.365 0.545 0.742
S 0.365 0.541 0.993
S 0.865 0.041 0.868
S 0.364 0.541 0.243
S 0.865 0.041 0.118
S 0.374 0.539 0.491
S 0.869 0.039 0.367
S 0.871 0.042 0.616
S 0.135 0.527 0.885
S 0.135 0.527 0.135
S 0.635 0.027 0.010
S 0.130 0.539 0.385
S 0.630 0.030 0.260
S 0.130 0.531 0.636
S 0.631 0.037 0.510
S 0.636 0.027 0.760
S 0.369 0.961 0.633
S 0.365 0.959 0.882
S 0.864 0.459 0.757
S 0.365 0.959 0.132
S 0.865 0.459 0.007
S 0.371 0.958 0.384
S 0.865 0.455 0.258
S 0.874 0.461 0.509
S 0.130 0.970 0.740
S 0.135 0.973 0.990
S 0.635 0.473 0.865
S 0.136 0.973 0.240
S 0.635 0.473 0.115
S 0.131 0.963 0.490
S 0.630 0.469 0.364
S 0.630 0.461 0.615

***

## Nb2Se17Cl12 (PBE)

Data for a relaxed Nb2Se17Cl12 crystal.

ΔH_f (0 K): -752.3 meV per atom
raw total energy: -3.799 eV/atom
energy with MP2020 corrections: -4.04 eV per atom

Unit cell a=11.987 b=13.799 c=13.886 alpha=111.19 beta=99.42 gamma=99.60
Fractional positions:
Nb 0.313 0.729 0.522
Nb 0.687 0.271 0.478
Nb 0.835 0.717 0.997
Nb 0.165 0.283 0.003
Se 0.479 0.832 0.984
Se 0.120 0.398 0.662
Se 0.735 0.102 0.781
Se 0.690 0.625 0.351
Se 0.321 0.906 0.966
Se 0.122 0.306 0.378
Se 0.188 0.628 0.922
Se 0.812 0.372 0.078
Se 0.393 0.649 0.964
Se 0.040 0.043 0.400
Se 0.152 0.586 0.738
Se 0.444 0.844 0.251
Se 0.556 0.156 0.749
Se 0.679 0.094 0.034
Se 0.960 0.957 0.600
Se 0.673 0.981 0.855
Se 0.747 0.808 0.342
Se 0.239 0.071 0.490
Se 0.071 0.118 0.277
Se 0.613 0.336 0.847
Se 0.761 0.929 0.510
Se 0.848 0.414 0.262
Se 0.521 0.168 0.016
Se 0.316 0.340 0.464
Se 0.310 0.375 0.649
Se 0.880 0.602 0.338
Se 0.253 0.192 0.658
Se 0.878 0.694 0.622
Se 0.929 0.882 0.723
Se 0.387 0.664 0.153
Se 0.607 0.351 0.036
Se 0.684 0.660 0.536
Se 0.265 0.898 0.219
Se 0.327 0.019 0.145
Cl 0.031 0.277 0.855
Cl 0.320 0.389 0.959
Cl 0.310 0.296 0.149
Cl 0.760 0.157 0.343
Cl 0.022 0.175 0.044
Cl 0.240 0.843 0.657
Cl 0.978 0.825 0.956
Cl 0.690 0.704 0.851
Cl 0.393 0.614 0.388
Cl 0.607 0.386 0.612
Cl 0.157 0.580 0.494
Cl 0.789 0.876 0.110
Cl 0.211 0.124 0.890
Cl 0.880 0.558 0.888
Cl 0.969 0.723 0.145
Cl 0.120 0.442 0.112
Cl 0.570 0.313 0.350
Cl 0.463 0.879 0.547
Cl 0.680 0.611 0.041
Cl 0.192 0.759 0.387
Cl 0.808 0.241 0.613
Cl 0.843 0.420 0.506
Cl 0.537 0.121 0.453
Cl 0.430 0.687 0.650

***

## TcIr3 (PBE)

Data for a relaxed TcIr3 crystal.

ΔH_f (0 K): -174.3 meV per atom
raw total energy: -9.393 eV/atom

Unit cell a=5.528 b=5.528 c=4.383 alpha=90.00 beta=90.00 gamma=120.00
Fractional positions:
Tc 0.333 0.667 0.750
Tc 0.667 0.333 0.250
Ir 0.167 0.334 0.250
Ir 0.666 0.833 0.250
Ir 0.167 0.833 0.250
Ir 0.833 0.666 0.750
Ir 0.334 0.167 0.750
Ir 0.833 0.167 0.750

***

## Ti4CN3 (PBE)

Data for a relaxed Ti4CN3 crystal.

ΔH_f (0 K): -1646.2 meV per atom
raw total energy: -9.738 eV/atom
energy with MP2020 corrections: -9.87 eV per atom

Unit cell a=10.045 b=10.045 c=10.045 alpha=17.30 beta=17.30 gamma=17.30
Fractional positions:
Ti 0.626 0.626 0.626
Ti 0.374 0.374 0.374
Ti 0.875 0.875 0.875
Ti 0.125 0.125 0.125
C 0.500 0.500 0.500
N 0.749 0.749 0.749
N 0.000 0.000 0.000
N 0.251 0.251 0.251

***

## PrHoIn2 (PBE)

Data for a relaxed PrHoIn2 crystal.

ΔH_f (0 K): -461.7 meV per atom
raw total energy: -4.178 eV/atom

Unit cell a=5.420 b=5.420 c=5.420 alpha=60.00 beta=60.00 gamma=60.00
Fractional positions:
Pr 0.000 0.000 0.000
Ho 0.500 0.500 0.500
In 0.250 0.250 0.250
In 0.750 0.750 0.750

***

## MgSi2 (PBE)

Data for a relaxed MgSi2 crystal.

ΔH_f (0 K): 225.5 meV per atom
raw total energy: -3.972 eV/atom
ΔE to the lowest computed polymorph: 148 meV/atom
energy with MP2020 corrections: -3.92 eV per atom

Unit cell a=2.778 b=7.710 c=9.315 alpha=77.32 beta=90.00 gamma=90.00
Fractional positions:
Mg 0.000 0.146 0.861
Mg 0.000 0.290 0.369
Mg 0.000 0.854 0.139
Mg 0.000 0.710 0.631
Si 0.500 0.811 0.875
Si 0.500 0.955 0.379
Si 0.500 0.532 0.126
Si 0.500 0.383 0.617
Si 0.500 0.189 0.125
Si 0.500 0.045 0.621
Si 0.500 0.468 0.874
Si 0.500 0.617 0.383

***

## Ag2S (PBE)

Data for a relaxed Ag2S crystal.

ΔH_f (0 K): -217.6 meV per atom
raw total energy: -3.317 eV/atom
energy with MP2020 corrections: -3.48 eV per atom
largest piezoelectric modulus: 0.1 C/m2

Unit cell a=4.265 b=4.265 c=7.589 alpha=90.00 beta=90.00 gamma=111.83
Fractional positions:
Ag 0.493 0.507 0.691
Ag 0.507 0.493 0.191
Ag 0.106 0.894 0.935
Ag 0.894 0.106 0.435
S 0.283 0.717 0.436
S 0.717 0.283 0.936

***

## ZnB3O9 (PBE)

Data for a relaxed ZnB3O9 crystal.

ΔH_f (0 K): -1045.8 meV per atom
raw total energy: -6.110 eV/atom
ΔE to the lowest computed polymorph: 396 meV/atom

Unit cell a=7.059 b=8.656 c=8.961 alpha=90.00 beta=90.00 gamma=90.00
Fractional positions:
Zn 0.250 0.963 0.224
Zn 0.250 0.463 0.276
Zn 0.750 0.037 0.776
Zn 0.750 0.537 0.724
B 0.433 0.253 0.079
B 0.067 0.753 0.421
B 0.933 0.747 0.921
B 0.567 0.247 0.579
B 0.567 0.747 0.921
B 0.933 0.247 0.579
B 0.067 0.253 0.079
B 0.433 0.753 0.421
B 0.250 0.299 0.852
B 0.250 0.799 0.648
B 0.750 0.701 0.148
B 0.750 0.201 0.352
O 0.465 0.387 0.162
O 0.035 0.887 0.338
O 0.965 0.613 0.838
O 0.535 0.113 0.662
O 0.535 0.613 0.838
O 0.965 0.113 0.662
O 0.035 0.387 0.162
O 0.465 0.887 0.338
O 0.250 0.164 0.119
O 0.250 0.664 0.381
O 0.750 0.836 0.881
O 0.750 0.336 0.619
O 0.583 0.127 0.109
O 0.917 0.627 0.391
O 0.083 0.873 0.891
O 0.417 0.373 0.609
O 0.417 0.873 0.891
O 0.083 0.373 0.609
O 0.917 0.127 0.109
O 0.583 0.627 0.391
O 0.420 0.287 0.916
O 0.080 0.787 0.584
O 0.920 0.713 0.084
O 0.580 0.213 0.416
O 0.580 0.713 0.084
O 0.920 0.213 0.416
O 0.080 0.287 0.916
O 0.420 0.787 0.584
O 0.250 0.304 0.680
O 0.250 0.804 0.820
O 0.750 0.696 0.320
O 0.750 0.196 0.180
O 0.250 0.742 0.138
O 0.250 0.242 0.362
O 0.750 0.258 0.862
O 0.750 0.758 0.638

***

## CrH6C3S6N3 (PBE)

Data for a relaxed CrH6C3S6N3 crystal.

ΔH_f (0 K): -396.7 meV per atom
raw total energy: -5.840 eV/atom
energy with MP2020 corrections: -6.06 eV per atom

Unit cell a=8.938 b=8.938 c=8.938 alpha=99.86 beta=99.86 gamma=99.86
Fractional positions:
Cr 0.248 0.248 0.248
Cr 0.752 0.752 0.752
H 0.318 0.659 0.973
H 0.973 0.318 0.659
H 0.659 0.973 0.318
H 0.682 0.341 0.027
H 0.027 0.682 0.341
H 0.341 0.027 0.682
H 0.269 0.499 0.819
H 0.819 0.269 0.499
H 0.499 0.819 0.269
H 0.731 0.501 0.181
H 0.181 0.731 0.501
H 0.501 0.181 0.731
C 0.271 0.448 0.035
C 0.035 0.271 0.448
C 0.448 0.035 0.271
C 0.729 0.552 0.965
C 0.965 0.729 0.552
C 0.552 0.965 0.729
S 0.306 0.517 0.231
S 0.231 0.306 0.517
S 0.517 0.231 0.306
S 0.694 0.483 0.769
S 0.769 0.694 0.483
S 0.483 0.769 0.694
S 0.217 0.250 0.976
S 0.976 0.217 0.250
S 0.250 0.976 0.217
S 0.783 0.750 0.024
S 0.024 0.783 0.750
S 0.750 0.024 0.783
N 0.286 0.542 0.935
N 0.935 0.286 0.542
N 0.542 0.935 0.286
N 0.714 0.458 0.065
N 0.065 0.714 0.458
N 0.458 0.065 0.714

***

## HgS4 (PBE)

Data for a relaxed HgS4 crystal.

ΔH_f (0 K): -187.5 meV per atom
raw total energy: -3.155 eV/atom
energy with MP2020 corrections: -3.56 eV per atom

Unit cell a=9.689 b=12.173 c=13.193 alpha=90.00 beta=90.00 gamma=90.00
Fractional positions:
Hg 0.605 0.906 0.250
Hg 0.395 0.094 0.750
Hg 0.895 0.906 0.750
Hg 0.105 0.094 0.250
S 0.882 0.476 0.669
S 0.118 0.524 0.169
S 0.618 0.476 0.331
S 0.382 0.524 0.831
S 0.118 0.524 0.331
S 0.882 0.476 0.831
S 0.382 0.524 0.669
S 0.618 0.476 0.169
S 0.630 0.627 0.130
S 0.370 0.373 0.630
S 0.870 0.627 0.870
S 0.130 0.373 0.370
S 0.370 0.373 0.870
S 0.630 0.627 0.370
S 0.130 0.373 0.130
S 0.870 0.627 0.630

***

## LiSm2Os (PBE)

Data for a relaxed LiSm2Os crystal.

ΔH_f (0 K): -139.0 meV per atom
raw total energy: -5.782 eV/atom

Unit cell a=4.997 b=4.997 c=4.997 alpha=60.00 beta=60.00 gamma=60.00
Fractional positions:
Li 0.500 0.500 0.500
Sm 0.250 0.250 0.250
Sm 0.750 0.750 0.750
Os 0.000 0.000 0.000

***

## Bi2Pd (PBE)

Data for a relaxed Bi2Pd crystal.

ΔH_f (0 K): -214.1 meV per atom
raw total energy: -4.534 eV/atom

Unit cell a=3.430 b=3.430 c=6.935 alpha=104.32 beta=104.32 gamma=90.00
Fractional positions:
Bi 0.636 0.636 0.272
Bi 0.364 0.364 0.728
Pd 0.000 0.000 0.000

***

Among the records above, which one has the highest ΔH_f (0 K)? MgSi2